Entry 1:
# Na4CaSi2GeSO12 (GGA-PBE, relaxed)
data_Na4CaSi2GeSO12
_symmetry_space_group_name_H-M 'P 1'
_symmetry_Int_Tables_number 1
_symmetry_space_group_name_Hall 'P 1'
_cell_length_a 9.593
_cell_length_b 9.285
_cell_length_c 22.162
_cell_angle_alpha 95.17
_cell_angle_beta 90.00
_cell_angle_gamma 121.10
loop_
_atom_site_label
_atom_site_type_symbol
_atom_site_fract_x
_atom_site_fract_y
_atom_site_fract_z
Na1 Na 0.663 0.020 0.252
Na2 Na 0.370 0.367 0.248
Na3 Na 0.986 0.634 0.239
Na4 Na 0.648 0.634 0.739
Na5 Na 0.998 0.367 0.748
Na6 Na 0.357 0.020 0.752
Na7 Na 0.330 0.353 0.585
Na8 Na 0.036 0.701 0.582
Na9 Na 0.653 0.967 0.572
Na10 Na 0.315 0.967 0.072
Na11 Na 0.665 0.701 0.082
Na12 Na 0.024 0.353 0.085
Na13 Na 0.996 0.687 0.919
Na14 Na 0.703 0.034 0.915
Na15 Na 0.319 0.301 0.906
Na16 Na 0.981 0.301 0.406
Na17 Na 0.331 0.034 0.415
Na18 Na 0.690 0.687 0.419
Na19 Na 0.993 0.987 0.499
Na20 Na 0.994 0.987 0.999
Na21 Na 0.660 0.321 0.833
Na22 Na 0.661 0.321 0.333
Na23 Na 0.326 0.654 0.166
Na24 Na 0.328 0.654 0.666
Ca1 Ca 0.999 0.997 0.350
Ca2 Ca 0.997 0.997 0.850
Ca3 Ca 0.666 0.330 0.683
Ca4 Ca 0.664 0.330 0.183
Ca5 Ca 0.333 0.663 0.016
Ca6 Ca 0.331 0.663 0.516
Si1 Si 0.305 0.996 0.254
Si2 Si 0.022 0.305 0.253
Si3 Si 0.283 0.305 0.753
Si4 Si 0.691 0.996 0.754
Si5 Si 0.972 0.329 0.587
Si6 Si 0.689 0.638 0.587
Si7 Si 0.950 0.638 0.087
Si8 Si 0.357 0.329 0.087
Si9 Si 0.638 0.662 0.920
Si10 Si 0.355 0.972 0.920
Si11 Si 0.616 0.972 0.420
Si12 Si 0.024 0.662 0.420
Ge1 Ge 0.956 0.027 0.647
Ge2 Ge 0.071 0.027 0.147
Ge3 Ge 0.622 0.360 0.980
Ge4 Ge 0.738 0.360 0.480
Ge5 Ge 0.289 0.694 0.314
Ge6 Ge 0.405 0.694 0.814
S1 S 0.683 0.702 0.249
S2 S 0.019 0.702 0.749
S3 S 0.349 0.035 0.583
S4 S 0.686 0.035 0.083
S5 S 0.016 0.369 0.916
S6 S 0.353 0.369 0.416
O1 O 0.220 0.012 0.313
O2 O 0.758 0.790 0.309
O3 O 0.987 0.198 0.309
O4 O 0.211 0.198 0.809
O5 O 0.032 0.790 0.809
O6 O 0.792 0.012 0.813
O7 O 0.781 0.976 0.690
O8 O 0.138 0.196 0.690
O9 O 0.010 0.794 0.700
O10 O 0.783 0.794 0.200
O11 O 0.058 0.196 0.190
O12 O 0.195 0.976 0.190
O13 O 0.887 0.346 0.646
O14 O 0.425 0.123 0.643
O15 O 0.653 0.531 0.643
O16 O 0.878 0.531 0.143
O17 O 0.698 0.123 0.143
O18 O 0.459 0.346 0.146
O19 O 0.447 0.309 0.023
O20 O 0.805 0.530 0.024
O21 O 0.677 0.127 0.033
O22 O 0.450 0.127 0.533
O23 O 0.725 0.530 0.524
O24 O 0.862 0.309 0.523
O25 O 0.553 0.679 0.980
O26 O 0.092 0.457 0.976
O27 O 0.320 0.865 0.976
O28 O 0.545 0.865 0.476
O29 O 0.365 0.457 0.476
O30 O 0.126 0.679 0.480
O31 O 0.114 0.643 0.356
O32 O 0.472 0.863 0.357
O33 O 0.344 0.460 0.366
O34 O 0.117 0.460 0.866
O35 O 0.391 0.863 0.857
O36 O 0.529 0.643 0.856
O37 O 0.980 0.807 0.417
O38 O 0.797 0.010 0.409
O39 O 0.203 0.198 0.417
O40 O 0.995 0.198 0.917
O41 O 0.212 0.010 0.909
O42 O 0.827 0.807 0.917
O43 O 0.953 0.135 0.583
O44 O 0.188 0.021 0.575
O45 O 0.873 0.827 0.596
O46 O 0.954 0.827 0.096
O47 O 0.834 0.021 0.075
O48 O 0.182 0.135 0.083
O49 O 0.646 0.140 0.750
O50 O 0.464 0.343 0.742
O51 O 0.869 0.531 0.751
O52 O 0.662 0.531 0.251
O53 O 0.879 0.343 0.242
O54 O 0.494 0.140 0.250
O55 O 0.620 0.469 0.916
O56 O 0.854 0.355 0.909
O57 O 0.540 0.161 0.929
O58 O 0.621 0.161 0.429
O59 O 0.500 0.355 0.409
O60 O 0.849 0.469 0.416
O61 O 0.313 0.473 0.084
O62 O 0.131 0.676 0.075
O63 O 0.536 0.864 0.084
O64 O 0.328 0.864 0.584
O65 O 0.546 0.676 0.575
O66 O 0.160 0.473 0.584
O67 O 0.287 0.802 0.249
O68 O 0.521 0.688 0.242
O69 O 0.207 0.494 0.263
O70 O 0.287 0.494 0.763
O71 O 0.167 0.688 0.742
O72 O 0.516 0.802 0.749
# Total DFT energy (no corrections) = -6.21 eV per atom
# Formation enthalpy at 0 K = -2496 meV/atom



Entry 2:
# Na2CaSiGeS2O12 (GGA-PBE, relaxed)
data_Na2CaSiGeS2O12
_symmetry_space_group_name_H-M 'P 1'
_symmetry_Int_Tables_number 1
_symmetry_space_group_name_Hall 'P 1'
_cell_length_a 9.203
_cell_length_b 9.203
_cell_length_c 22.618
_cell_angle_alpha 92.40
_cell_angle_beta 92.40
_cell_angle_gamma 60.10
loop_
_atom_site_label
_atom_site_type_symbol
_atom_site_fract_x
_atom_site_fract_y
_atom_site_fract_z
Na1 Na 0.004 0.996 0.500
Na2 Na 0.011 0.372 0.745
Na3 Na 0.307 0.688 0.079
Na4 Na 0.327 0.343 0.668
Na5 Na 0.334 0.991 0.913
Na6 Na 0.343 0.327 0.168
Na7 Na 0.372 0.011 0.245
Na8 Na 0.670 0.693 0.837
Na9 Na 0.688 0.307 0.579
Na10 Na 0.693 0.670 0.337
Na11 Na 0.991 0.334 0.413
Na12 Na 0.996 0.004 0.000
Ca1 Ca 0.011 0.011 0.355
Ca2 Ca 0.011 0.011 0.855
Ca3 Ca 0.342 0.343 0.522
Ca4 Ca 0.343 0.342 0.022
Ca5 Ca 0.680 0.697 0.692
Ca6 Ca 0.697 0.680 0.192
Si1 Si 0.033 0.319 0.264
Si2 Si 0.319 0.033 0.764
Si3 Si 0.362 0.631 0.924
Si4 Si 0.384 0.972 0.092
Si5 Si 0.631 0.362 0.424
Si6 Si 0.972 0.384 0.592
Ge1 Ge 0.041 0.052 0.149
Ge2 Ge 0.052 0.041 0.649
Ge3 Ge 0.355 0.364 0.315
Ge4 Ge 0.364 0.355 0.815
Ge5 Ge 0.655 0.669 0.992
Ge6 Ge 0.669 0.655 0.492
S1 S 0.032 0.374 0.913
S2 S 0.044 0.695 0.753
S3 S 0.052 0.628 0.415
S4 S 0.312 0.700 0.250
S5 S 0.374 0.032 0.413
S6 S 0.376 0.702 0.585
S7 S 0.628 0.052 0.915
S8 S 0.695 0.044 0.253
S9 S 0.700 0.312 0.750
S10 S 0.701 0.958 0.581
S11 S 0.702 0.376 0.085
S12 S 0.958 0.701 0.081
O1 O 0.003 0.228 0.910
O2 O 0.023 0.224 0.319
O3 O 0.024 0.799 0.411
O4 O 0.035 0.789 0.808
O5 O 0.054 0.769 0.699
O6 O 0.080 0.182 0.201
O7 O 0.111 0.385 0.858
O8 O 0.131 0.556 0.079
O9 O 0.142 0.520 0.360
O10 O 0.144 0.347 0.965
O11 O 0.147 0.552 0.469
O12 O 0.158 0.354 0.585
O13 O 0.182 0.080 0.701
O14 O 0.187 0.986 0.088
O15 O 0.205 0.860 0.586
O16 O 0.206 0.521 0.756
O17 O 0.211 0.823 0.917
O18 O 0.217 0.809 0.299
O19 O 0.219 0.317 0.265
O20 O 0.223 0.766 0.192
O21 O 0.224 0.023 0.819
O22 O 0.228 0.003 0.410
O23 O 0.317 0.219 0.765
O24 O 0.323 0.528 0.255
O25 O 0.346 0.564 0.986
O26 O 0.347 0.144 0.465
O27 O 0.354 0.158 0.085
O28 O 0.359 0.552 0.580
O29 O 0.385 0.111 0.358
O30 O 0.385 0.498 0.865
O31 O 0.455 0.722 0.529
O32 O 0.465 0.884 0.152
O33 O 0.475 0.694 0.638
O34 O 0.478 0.835 0.032
O35 O 0.482 0.679 0.252
O36 O 0.498 0.385 0.365
O37 O 0.501 0.875 0.757
O38 O 0.520 0.142 0.860
O39 O 0.521 0.206 0.256
O40 O 0.528 0.323 0.755
O41 O 0.535 0.867 0.420
O42 O 0.545 0.644 0.927
O43 O 0.552 0.147 0.969
O44 O 0.552 0.359 0.080
O45 O 0.556 0.131 0.579
O46 O 0.564 0.346 0.486
O47 O 0.628 0.889 0.915
O48 O 0.644 0.545 0.427
O49 O 0.660 0.902 0.252
O50 O 0.679 0.482 0.752
O51 O 0.691 0.881 0.635
O52 O 0.694 0.475 0.138
O53 O 0.706 0.852 0.525
O54 O 0.722 0.455 0.029
O55 O 0.766 0.223 0.692
O56 O 0.769 0.054 0.199
O57 O 0.789 0.035 0.308
O58 O 0.799 0.024 0.911
O59 O 0.809 0.217 0.799
O60 O 0.823 0.211 0.417
O61 O 0.835 0.478 0.532
O62 O 0.852 0.706 0.025
O63 O 0.857 0.971 0.580
O64 O 0.860 0.205 0.086
O65 O 0.867 0.535 0.920
O66 O 0.875 0.501 0.257
O67 O 0.881 0.691 0.135
O68 O 0.884 0.465 0.652
O69 O 0.889 0.628 0.415
O70 O 0.902 0.660 0.752
O71 O 0.971 0.857 0.080
O72 O 0.986 0.187 0.588
# SG = Cc, No. 9
# Total DFT energy (no corrections) = -6.17 eV per atom
# Formation enthalpy at 0 K = -2272 meV/atom



Entry 3:
# Na4Ca3SiGeS5O24 (GGA-PBE, relaxed)
data_Na4Ca3SiGeS5O24
_symmetry_space_group_name_H-M 'P 1'
_symmetry_Int_Tables_number 1
_symmetry_space_group_name_Hall 'P 1'
_cell_length_a 9.076
_cell_length_b 9.111
_cell_length_c 23.198
_cell_angle_alpha 90.67
_cell_angle_beta 90.03
_cell_angle_gamma 119.42
loop_
_atom_site_label
_atom_site_type_symbol
_atom_site_fract_x
_atom_site_fract_y
_atom_site_fract_z
Na1 Na 0.000 0.000 0.000
Na2 Na 0.001 0.660 0.247
Na3 Na 0.010 0.977 0.655
Na4 Na 0.298 0.325 0.578
Na5 Na 0.336 0.633 0.987
Na6 Na 0.337 0.305 0.075
Na7 Na 0.620 0.294 0.998
Na8 Na 0.645 0.953 0.412
Na9 Na 0.648 0.974 0.908
Na10 Na 0.664 0.336 0.667
Na11 Na 0.675 0.305 0.329
Na12 Na 0.996 0.598 0.747
Ca1 Ca 0.306 0.319 0.728
Ca2 Ca 0.310 0.301 0.221
Ca3 Ca 0.310 0.307 0.430
Ca4 Ca 0.322 0.308 0.922
Ca5 Ca 0.649 0.977 0.765
Ca6 Ca 0.651 0.962 0.263
Ca7 Ca 0.977 0.638 0.095
Ca8 Ca 0.989 0.632 0.590
Ca9 Ca 0.998 0.649 0.400
Si1 Si 0.285 0.937 0.997
Si2 Si 0.693 0.647 0.993
Si3 Si 0.940 0.261 0.658
Ge1 Ge 0.000 0.679 0.899
Ge2 Ge 0.630 0.945 0.057
Ge3 Ge 0.661 0.980 0.560
S1 S 0.009 0.983 0.831
S2 S 0.013 0.312 0.327
S3 S 0.294 0.618 0.836
S4 S 0.315 0.006 0.326
S5 S 0.319 0.664 0.499
S6 S 0.365 0.675 0.154
S7 S 0.367 0.980 0.655
S8 S 0.619 0.600 0.328
S9 S 0.643 0.245 0.154
S10 S 0.645 0.684 0.654
S11 S 0.649 0.331 0.831
S12 S 0.672 0.312 0.497
S13 S 0.938 0.983 0.153
S14 S 0.967 0.947 0.500
S15 S 0.972 0.341 0.991
O1 O 0.011 0.440 0.044
O2 O 0.012 0.815 0.834
O3 O 0.090 0.082 0.883
O4 O 0.100 0.306 0.379
O5 O 0.104 0.061 0.778
O6 O 0.105 0.316 0.274
O7 O 0.107 0.122 0.496
O8 O 0.107 0.134 0.148
O9 O 0.114 0.306 0.982
O10 O 0.122 0.263 0.657
O11 O 0.128 0.623 0.839
O12 O 0.160 0.856 0.048
O13 O 0.167 0.833 0.328
O14 O 0.189 0.848 0.647
O15 O 0.198 0.662 0.153
O16 O 0.200 0.806 0.937
O17 O 0.218 0.648 0.550
O18 O 0.244 0.685 0.446
O19 O 0.277 0.518 0.783
O20 O 0.304 0.088 0.273
O21 O 0.311 0.538 0.888
O22 O 0.322 0.104 0.378
O23 O 0.325 0.127 0.987
O24 O 0.349 0.520 0.496
O25 O 0.353 0.508 0.152
O26 O 0.372 0.146 0.660
O27 O 0.433 0.945 0.707
O28 O 0.439 0.790 0.831
O29 O 0.458 0.758 0.097
O30 O 0.461 0.775 0.203
O31 O 0.472 0.993 0.603
O32 O 0.476 0.940 0.003
O33 O 0.477 0.999 0.326
O34 O 0.490 0.827 0.504
O35 O 0.492 0.267 0.151
O36 O 0.500 0.285 0.493
O37 O 0.501 0.512 0.979
O38 O 0.504 0.507 0.655
O39 O 0.523 0.512 0.379
O40 O 0.533 0.504 0.275
O41 O 0.548 0.320 0.882
O42 O 0.565 0.339 0.777
O43 O 0.618 0.764 0.601
O44 O 0.631 0.138 0.099
O45 O 0.641 0.159 0.207
O46 O 0.643 0.773 0.328
O47 O 0.653 0.776 0.707
O48 O 0.663 0.140 0.500
O49 O 0.673 0.182 0.831
O50 O 0.695 0.836 0.004
O51 O 0.754 0.575 0.045
O52 O 0.756 0.412 0.548
O53 O 0.771 0.390 0.444
O54 O 0.789 0.608 0.330
O55 O 0.798 0.947 0.501
O56 O 0.800 0.407 0.152
O57 O 0.807 0.680 0.649
O58 O 0.811 0.175 0.994
O59 O 0.816 0.492 0.835
O60 O 0.824 0.171 0.713
O61 O 0.833 0.945 0.828
O62 O 0.838 0.162 0.326
O63 O 0.839 0.128 0.599
O64 O 0.840 0.704 0.938
O65 O 0.844 0.987 0.097
O66 O 0.849 0.989 0.204
O67 O 0.947 0.430 0.941
O68 O 0.948 0.827 0.153
O69 O 0.952 0.445 0.654
O70 O 0.955 0.845 0.449
O71 O 0.985 0.872 0.554
O72 O 0.990 0.464 0.328
# SG = P1, No. 1
# Total DFT energy (no corrections) = -6.18 eV per atom
# Formation enthalpy at 0 K = -2382 meV/atom



Entry 4:
# Na2CaTi2Ge3O12 (GGA-PBE, relaxed)
data_Na2CaTi2Ge3O12
_symmetry_space_group_name_H-M 'P 1'
_symmetry_Int_Tables_number 1
_symmetry_space_group_name_Hall 'P 1'
_cell_length_a 10.733
_cell_length_b 10.733
_cell_length_c 10.733
_cell_angle_alpha 109.67
_cell_angle_beta 109.67
_cell_angle_gamma 109.07
loop_
_atom_site_label
_atom_site_type_symbol
_atom_site_fract_x
_atom_site_fract_y
_atom_site_fract_z
Na1 Na 0.124 0.250 0.374
Na2 Na 0.250 0.376 0.126
Na3 Na 0.250 0.876 0.626
Na4 Na 0.376 0.750 0.126
Na5 Na 0.624 0.250 0.874
Na6 Na 0.750 0.124 0.374
Na7 Na 0.750 0.624 0.874
Na8 Na 0.876 0.750 0.626
Ca1 Ca 0.125 0.375 0.750
Ca2 Ca 0.375 0.125 0.250
Ca3 Ca 0.625 0.875 0.750
Ca4 Ca 0.875 0.625 0.250
Ti1 Ti 0.000 0.000 0.000
Ti2 Ti 0.000 0.000 0.500
Ti3 Ti 0.000 0.500 0.000
Ti4 Ti 0.000 0.500 0.500
Ti5 Ti 0.500 0.000 0.000
Ti6 Ti 0.500 0.000 0.500
Ti7 Ti 0.500 0.500 0.000
Ti8 Ti 0.500 0.500 0.500
Ge1 Ge 0.125 0.750 0.875
Ge2 Ge 0.125 0.875 0.250
Ge3 Ge 0.250 0.125 0.875
Ge4 Ge 0.250 0.625 0.375
Ge5 Ge 0.375 0.250 0.625
Ge6 Ge 0.375 0.625 0.750
Ge7 Ge 0.625 0.375 0.250
Ge8 Ge 0.625 0.750 0.375
Ge9 Ge 0.750 0.375 0.625
Ge10 Ge 0.750 0.875 0.125
Ge11 Ge 0.875 0.125 0.750
Ge12 Ge 0.875 0.250 0.125
O1 O 0.010 0.194 0.110
O2 O 0.014 0.316 0.897
O3 O 0.080 0.883 0.397
O4 O 0.084 0.694 0.684
O5 O 0.099 0.613 0.415
O6 O 0.100 0.990 0.684
O7 O 0.113 0.599 0.915
O8 O 0.117 0.014 0.197
O9 O 0.184 0.198 0.585
O10 O 0.184 0.486 0.603
O11 O 0.194 0.584 0.184
O12 O 0.198 0.113 0.014
O13 O 0.302 0.316 0.915
O14 O 0.306 0.490 0.390
O15 O 0.316 0.901 0.014
O16 O 0.316 0.920 0.303
O17 O 0.383 0.580 0.897
O18 O 0.387 0.302 0.486
O19 O 0.400 0.084 0.890
O20 O 0.401 0.816 0.514
O21 O 0.416 0.100 0.610
O22 O 0.420 0.816 0.803
O23 O 0.486 0.383 0.303
O24 O 0.490 0.600 0.184
O25 O 0.510 0.400 0.816
O26 O 0.514 0.617 0.697
O27 O 0.580 0.184 0.197
O28 O 0.584 0.900 0.390
O29 O 0.599 0.184 0.486
O30 O 0.600 0.916 0.110
O31 O 0.613 0.698 0.514
O32 O 0.617 0.420 0.103
O33 O 0.684 0.080 0.697
O34 O 0.684 0.099 0.986
O35 O 0.694 0.510 0.610
O36 O 0.698 0.684 0.085
O37 O 0.802 0.887 0.986
O38 O 0.806 0.416 0.816
O39 O 0.816 0.514 0.397
O40 O 0.816 0.802 0.415
O41 O 0.883 0.986 0.803
O42 O 0.887 0.401 0.085
O43 O 0.900 0.010 0.316
O44 O 0.901 0.387 0.585
O45 O 0.916 0.306 0.316
O46 O 0.920 0.117 0.603
O47 O 0.986 0.684 0.103
O48 O 0.990 0.806 0.890
# SG = I4_1/acd, No. 142
# Total DFT energy (no corrections) = -7.00 eV per atom
# Formation enthalpy at 0 K = -2724 meV/atom



V in Å³ per atom, matching the order above: 13.3, 14.6, 14.7, 11.9